A relaxed structure of MgW2O4, computed with PBE+U.

Lattice parameters (Å, degrees): 6.403 6.403 6.403 60.00 60.00 60.00
Element x y z (fractional)
Mg (0.750, 0.750, 0.750)
Mg (0.500, 0.500, 0.500)
W (0.125, 0.125, 0.625)
W (0.125, 0.625, 0.125)
W (0.125, 0.125, 0.125)
W (0.625, 0.125, 0.125)
O (0.368, 0.895, 0.368)
O (0.368, 0.368, 0.368)
O (0.895, 0.368, 0.368)
O (0.882, 0.882, 0.355)
O (0.355, 0.882, 0.882)
O (0.882, 0.882, 0.882)
O (0.368, 0.368, 0.895)
O (0.882, 0.355, 0.882)

Summary:
- ΔE to the lowest computed polymorph: 0 meV per atom
- E: -7.0092 eV per atom
- Calculated formation energy: -1911 meV/atom
- Magnetic moment: 12.00 μB per cell